1.
CeB2Pt2C, optimized geometry, DFT PBE; space-group type = No. 139; calculated volume = 80 Å³/cell; formation energy from the elements = -3.8 eV per formula unit
1.0
-1.2239 0.7009 5.9004
-4.5718 -2.5039 3.1037
4.4587 -1.2329 -3.9247
Ce B C Pt
1 2 1 2
direct
0.5000 0.5000 0.0000
0.8629 0.8629 0.0000
0.1371 0.1371 0.0000
0.0000 0.0000 0.0000
0.7500 0.2500 0.5000
0.2500 0.7500 0.5000

***

2.
CoB10H21C12Cl2, optimized geometry, DFT PBE; space-group type = No. 14; calculated volume = 2276 Å³/cell; formation energy from the elements = -4.7 eV per formula unit
1.0
-6.6305 -4.6929 -9.4201
7.4611 0.6200 -5.5605
8.7108 -15.7850 9.9280
B H C Co Cl
40 84 48 4 8
direct
0.1502 0.6052 0.7558
0.3908 0.0159 0.1980
0.6050 0.4577 0.2203
0.2705 0.4993 0.7971
0.6050 0.0423 0.7203
0.6092 0.5159 0.3020
0.1502 0.8948 0.2558
0.3950 0.9577 0.2797
0.2855 0.5784 0.6370
0.2929 0.6765 0.7735
0.8564 0.0143 0.8720
0.8282 0.9145 0.7828
0.7145 0.4216 0.3630
0.2633 0.1001 0.1579
0.3207 0.1183 0.2464
0.6793 0.6183 0.2536
0.6092 0.9841 0.8020
0.7295 0.9993 0.7029
0.8282 0.5855 0.2828
0.7071 0.3235 0.2265
0.2929 0.8235 0.2735
0.7071 0.1765 0.7265
0.3207 0.3817 0.7464
0.7367 0.6001 0.3421
0.2633 0.3999 0.6579
0.7145 0.0784 0.8630
0.1718 0.4145 0.7172
0.3908 0.4841 0.6980
0.8498 0.3948 0.2442
0.3950 0.5423 0.7797
0.8498 0.1052 0.7442
0.7295 0.5007 0.2029
0.8564 0.4857 0.3720
0.2705 0.0007 0.2971
0.2855 0.9216 0.1370
0.6793 0.8817 0.7536
0.1718 0.0855 0.2172
0.7367 0.8999 0.8421
0.1436 0.9857 0.1280
0.1436 0.5143 0.6280
0.9150 0.5132 0.4283
0.5941 0.7510 0.6011
0.0624 0.2600 0.9960
0.9963 0.5584 0.6670
0.6911 0.4897 0.8003
0.4648 0.4238 0.4287
0.3336 0.9574 0.5618
0.9376 0.7600 0.5040
0.3167 0.7260 0.3131
0.5226 0.5409 0.3136
0.0367 0.3266 0.8515
0.9150 0.9868 0.9283
0.9031 0.3584 0.2072
0.5226 0.9591 0.8136
0.9633 0.6734 0.1485
0.3027 0.8856 0.0853
0.5827 0.2627 0.2899
0.2591 0.3027 0.6193
0.4648 0.0762 0.9287
0.6664 0.0426 0.4382
0.7285 0.5324 0.1463
0.3528 0.2658 0.7693
0.0624 0.2400 0.4960
0.5352 0.5762 0.5713
0.3167 0.7740 0.8131
0.7409 0.8027 0.8807
0.2591 0.1973 0.1193
0.6973 0.3856 0.4147
0.0969 0.6416 0.7928
0.0850 0.0132 0.0717
0.5941 0.7490 0.1011
0.5158 0.4455 0.1777
0.9963 0.9416 0.1670
0.9633 0.8266 0.6485
0.0367 0.1734 0.3515
0.8869 0.8163 0.7772
0.6472 0.7342 0.2307
0.5827 0.2373 0.7899
0.4842 0.9455 0.3223
0.6911 0.0103 0.3003
0.7285 0.9676 0.6463
0.0387 0.7740 0.4169
0.0037 0.4416 0.3330
0.6472 0.7658 0.7307
0.9031 0.1416 0.7072
0.4059 0.2510 0.8989
0.1131 0.1837 0.2228
0.4173 0.7627 0.2101
0.9613 0.2740 0.0831
0.0037 0.0584 0.8330
0.5158 0.0545 0.6777
0.3089 0.5103 0.1997
0.1301 0.5463 0.2474
0.6833 0.2260 0.1869
0.2715 0.0324 0.3537
0.1301 0.9537 0.7474
0.6664 0.4574 0.9382
0.8699 0.4537 0.7526
0.0850 0.4868 0.5717
0.1131 0.3163 0.7228
0.0387 0.7260 0.9169
0.0969 0.8584 0.2928
0.8869 0.6837 0.2772
0.4774 0.4591 0.6864
0.7678 0.3716 0.0550
0.4173 0.7373 0.7101
0.6833 0.2740 0.6869
0.3336 0.5426 0.0618
0.2322 0.6284 0.9450
0.7678 0.1284 0.5550
0.2715 0.4676 0.8537
0.8699 0.0463 0.2526
0.4774 0.0409 0.1864
0.3027 0.6144 0.5853
0.5352 0.9238 0.0713
0.3528 0.2342 0.2693
0.7409 0.6973 0.3807
0.9613 0.2260 0.5831
0.6973 0.1144 0.9147
0.4842 0.5545 0.8223
0.2322 0.8716 0.4450
0.3089 0.9897 0.6997
0.9376 0.7400 0.0040
0.4059 0.2490 0.3989
0.0455 0.6427 0.1448
0.9545 0.1427 0.3552
0.0810 0.8068 0.4691
0.1927 0.6371 0.9855
0.9754 0.2028 0.4827
0.1949 0.5995 0.1012
0.4124 0.3348 0.4361
0.1927 0.8629 0.4855
0.2500 0.5906 0.0502
0.8667 0.4258 0.8031
0.7500 0.4094 0.9498
0.8073 0.1371 0.5145
0.0246 0.7028 0.0173
0.4124 0.1652 0.9361
0.8073 0.3629 0.0145
0.6451 0.3437 0.2883
0.7722 0.0562 0.3281
0.9754 0.2972 0.9827
0.6451 0.1563 0.7883
0.9119 0.0609 0.8180
0.8051 0.4005 0.8988
0.0881 0.9391 0.1820
0.0246 0.7972 0.5173
0.2500 0.9094 0.5502
0.0881 0.5609 0.6820
0.8667 0.0742 0.3031
0.0455 0.8573 0.6448
0.5876 0.6652 0.5639
0.9545 0.3573 0.8552
0.7500 0.0906 0.4498
0.7722 0.4438 0.8281
0.2278 0.9438 0.6719
0.9189 0.1550 0.4157
0.0810 0.6932 0.9691
0.2278 0.5562 0.1719
0.3549 0.8437 0.2117
0.1949 0.9005 0.6012
0.0811 0.6550 0.0843
0.1333 0.5742 0.1969
0.3549 0.6563 0.7117
0.0811 0.8450 0.5843
0.9119 0.4391 0.3180
0.5876 0.8348 0.0639
0.9190 0.3068 0.0309
0.9190 0.1932 0.5309
0.9189 0.3450 0.9157
0.1333 0.9258 0.6969
0.8051 0.0995 0.3988
0.8136 0.2702 0.3272
0.8136 0.2298 0.8272
0.1864 0.7298 0.6728
0.1864 0.7702 0.1728
0.2744 0.0972 0.9252
0.5250 0.7371 0.4812
0.7256 0.5972 0.5748
0.7256 0.9028 0.0748
0.2744 0.4028 0.4252
0.4750 0.2629 0.5188
0.5250 0.7629 0.9812
0.4750 0.2371 0.0188

***

Copy entry 1 word for word.
CeB2Pt2C, optimized geometry, DFT PBE; space-group type = No. 139; calculated volume = 80 Å³/cell; formation energy from the elements = -3.8 eV per formula unit
1.0
-1.2239 0.7009 5.9004
-4.5718 -2.5039 3.1037
4.4587 -1.2329 -3.9247
Ce B C Pt
1 2 1 2
direct
0.5000 0.5000 0.0000
0.8629 0.8629 0.0000
0.1371 0.1371 0.0000
0.0000 0.0000 0.0000
0.7500 0.2500 0.5000
0.2500 0.7500 0.5000

***

Which value of calculated volume does entry 2 give?
2276 Å³/cell